No. 1
Compound: CrH14N3O8
Source: Materials Project
Functional: GGA+U
Structure: relaxed

Properties
SG	No. 121
magnetization	0.12	μB/atom
calculated formation energy	-530	meV per atom

abc: 6.7067 6.7067 6.7067
angles: 96.78 116.16 116.16
Last column: nearest neighbours and their distance in Å.
Sites, in units of the cell vectors:
1 H 0.0000 0.6780 0.3421  1 O 1.03
2 H 0.5867 0.4329 0.7823  1 N 1.04
3 H 0.0000 0.3421 0.6780  1 O 1.03
4 H 0.5867 0.7823 0.4329  1 N 1.04
5 H 0.6506 0.8043 0.2177  1 N 1.04
6 H 0.3494 0.1538 0.5671  1 N 1.04
7 H 0.6506 0.2177 0.8043  1 N 1.04
8 H 0.0000 0.3874 0.3874  1 N 1.00
9 H 0.4133 0.1957 0.8462  1 N 1.04
10 H 0.3494 0.5671 0.1538  1 N 1.04
11 H 0.3359 0.6579 0.6579  1 O 1.03
12 H 0.4133 0.8462 0.1957  1 N 1.04
13 H 0.0000 0.6126 0.6126  1 N 1.00
14 H 0.6641 0.3220 0.3220  1 O 1.03
15 O 0.3142 0.0222 0.0222  1 O 1.49
16 O 0.6858 0.7080 0.7080  1 O 1.49
17 O 0.4613 0.2416 0.2416  1 H 1.03
18 O 0.5387 0.7803 0.7803  1 H 1.03
19 O 0.0000 0.9778 0.2920  1 O 1.49
20 O 0.0000 0.2920 0.9778  1 O 1.49
21 O 0.0000 0.7584 0.2197  1 H 1.03
22 O 0.0000 0.2197 0.7584  1 H 1.03
23 N 0.0000 0.5000 0.5000  2 H 1.00
24 N 0.5000 0.2500 0.7500  4 H 1.04
25 N 0.5000 0.7500 0.2500  4 H 1.04
26 Cr 0.0000 0.0000 0.0000  4 O 1.98

***

No. 2
Compound: CrP2H17N4O9
Source: Materials Project
Functional: GGA+U
Structure: relaxed

Properties
SG	No. 14
magnetization	0.09	μB/atom
calculated formation energy	-1259	meV per atom

abc: 13.8944 7.5740 11.7058
angles: 86.44 90.00 90.00
Last column: nearest neighbours and their distance in Å.
Sites, in units of the cell vectors:
1 H 0.5955 0.9873 0.9142  1 N 1.03
2 H 0.6824 0.5099 0.9669  1 O 0.99
3 H 0.2798 0.1625 0.7106  1 N 1.02
4 H 0.5625 0.6689 0.0553  1 N 1.04
5 H 0.2607 0.3234 0.9990  1 O 0.99
6 H 0.7798 0.8375 0.7894  1 N 1.02
7 H 0.6630 0.8838 0.5735  1 O 0.99
8 H 0.5217 0.7758 0.4297  1 N 1.03
9 H 0.7202 0.8375 0.2894  1 N 1.02
10 H 0.0888 0.7933 0.8723  1 N 1.03
11 H 0.9800 0.3835 0.1489  1 N 1.03
12 H 0.3370 0.1162 0.4265  1 O 0.99
13 H 0.4987 0.5661 0.1616  1 N 1.03
14 H 0.7058 0.3127 0.4281  1 O 1.05
15 H 0.3962 0.2872 0.3869  1 O 0.99
16 H 0.7393 0.6766 0.0010  1 O 0.99
17 H 0.5756 0.8473 0.8129  1 N 1.03
18 H 0.8176 0.5099 0.4669  1 O 0.99
19 H 0.6395 0.0292 0.7810  1 N 1.03
20 H 0.4800 0.6165 0.3511  1 N 1.03
21 H 0.9987 0.4339 0.3384  1 N 1.03
22 H 0.0013 0.5661 0.6616  1 N 1.03
23 H 0.9244 0.8473 0.3129  1 N 1.03
24 H 0.5563 0.2891 0.9285  1 N 1.03
25 H 0.0625 0.3311 0.4447  1 N 1.04
26 H 0.0563 0.7109 0.5715  1 N 1.03
27 H 0.6637 0.6508 0.3270  1 N 1.03
28 H 0.0200 0.6165 0.8511  1 N 1.03
29 H 0.9045 0.9873 0.4142  1 N 1.03
30 H 0.7942 0.3127 0.9281  1 O 1.05
31 H 0.9112 0.2067 0.1277  1 N 1.03
32 H 0.2393 0.3234 0.4990  1 O 0.99
33 H 0.3605 0.9708 0.2190  1 N 1.03
34 H 0.7607 0.6766 0.5010  1 O 0.99
35 H 0.5888 0.2067 0.6277  1 N 1.03
36 H 0.2981 0.3101 0.8059  1 N 1.02
37 H 0.8370 0.8838 0.0735  1 O 0.99
38 H 0.2202 0.1625 0.2106  1 N 1.02
39 H 0.1395 0.9708 0.7190  1 N 1.03
40 H 0.9375 0.6689 0.5553  1 N 1.04
41 H 0.8363 0.6508 0.8270  1 N 1.03
42 H 0.6038 0.7128 0.6131  1 O 0.99
43 H 0.4112 0.7933 0.3723  1 N 1.03
44 H 0.4375 0.3311 0.9447  1 N 1.04
45 H 0.7981 0.6899 0.6941  1 N 1.02
46 H 0.5200 0.3835 0.6489  1 N 1.03
47 H 0.1038 0.2872 0.8869  1 O 0.99
48 H 0.8605 0.0292 0.2810  1 N 1.03
49 H 0.1824 0.4901 0.5331  1 O 0.99
50 H 0.9783 0.7758 0.9297  1 N 1.03
51 H 0.7019 0.6899 0.1941  1 N 1.02
52 H 0.4437 0.7109 0.0715  1 N 1.03
53 H 0.2942 0.6873 0.5719  1 O 1.05
54 H 0.5013 0.4339 0.8384  1 N 1.03
55 H 0.1630 0.1162 0.9265  1 O 0.99
56 H 0.2058 0.6873 0.0719  1 O 1.05
57 H 0.0217 0.2242 0.0703  1 N 1.03
58 H 0.9437 0.2891 0.4285  1 N 1.03
59 H 0.3176 0.4901 0.0331  1 O 0.99
60 H 0.3363 0.3492 0.6730  1 N 1.03
61 H 0.4244 0.1527 0.1871  1 N 1.03
62 H 0.0756 0.1527 0.6871  1 N 1.03
63 H 0.2019 0.3101 0.3059  1 N 1.02
64 H 0.8962 0.7128 0.1131  1 O 0.99
65 H 0.4045 0.0127 0.0858  1 N 1.03
66 H 0.4783 0.2242 0.5703  1 N 1.03
67 H 0.0955 0.0127 0.5858  1 N 1.03
68 H 0.1637 0.3492 0.1730  1 N 1.03
69 N 0.0193 0.7506 0.8593  3 H 1.03
70 N 0.4927 0.3161 0.8864  3 H 1.03-1.04
71 N 0.6720 0.7472 0.2624  3 H 1.02-1.03
72 N 0.9178 0.9789 0.3282  3 H 1.03
73 N 0.1720 0.2528 0.2376  3 H 1.02-1.03
74 N 0.3280 0.2528 0.7376  3 H 1.02-1.03
75 N 0.5822 0.9789 0.8282  3 H 1.03
76 N 0.9807 0.2494 0.1407  3 H 1.03
77 N 0.5073 0.6839 0.1136  3 H 1.03-1.04
78 N 0.4178 0.0211 0.1718  3 H 1.03
79 N 0.0073 0.3161 0.3864  3 H 1.03-1.04
80 N 0.0822 0.0211 0.6718  3 H 1.03
81 N 0.9927 0.6839 0.6136  3 H 1.03-1.04
82 N 0.5193 0.2494 0.6407  3 H 1.03
83 N 0.8280 0.7472 0.7624  3 H 1.02-1.03
84 N 0.4807 0.7506 0.3593  3 H 1.03
85 P 0.9130 0.2709 0.7978  4 O 1.52-1.63
86 P 0.1922 0.8393 0.4052  4 O 1.52-1.66
87 P 0.6922 0.1607 0.0948  4 O 1.52-1.66
88 P 0.8078 0.1607 0.5948  4 O 1.52-1.66
89 P 0.3078 0.8393 0.9052  4 O 1.52-1.66
90 P 0.5870 0.2709 0.2978  4 O 1.52-1.63
91 P 0.4130 0.7291 0.7022  4 O 1.52-1.63
92 P 0.0870 0.7291 0.2022  4 O 1.52-1.63
93 O 0.3464 0.6935 0.8157  2 P 1.63-1.66
94 O 0.4170 0.9285 0.6742  1 P 1.53
95 O 0.3547 0.2362 0.4490  2 H 0.99
96 O 0.6104 0.0237 0.0866  1 P 1.55
97 O 0.7996 0.2688 0.4800  1 H 1.47, 1 P 1.53
98 O 0.3231 0.3605 0.0307  2 H 0.99
99 O 0.6536 0.3065 0.1843  2 P 1.63-1.66
100 O 0.8896 0.0237 0.5866  1 P 1.55
101 O 0.2138 0.9175 0.8589  1 P 1.52
102 O 0.9170 0.0715 0.8258  1 P 1.53
103 O 0.8591 0.3654 0.8946  1 H 1.05
104 O 0.8231 0.6395 0.4693  2 H 0.99
105 O 0.4909 0.3627 0.2768  1 P 1.52
106 O 0.3591 0.6346 0.6054  1 H 1.05
107 O 0.7862 0.0825 0.1411  1 P 1.52
108 O 0.1769 0.3605 0.5307  2 H 0.99
109 O 0.0830 0.9285 0.1742  1 P 1.53
110 O 0.8547 0.7638 0.0510  2 H 0.99
111 O 0.9909 0.6373 0.2232  1 P 1.52
112 O 0.3896 0.9763 0.9134  1 P 1.55
113 O 0.6453 0.7638 0.5510  2 H 0.99
114 O 0.7138 0.0825 0.6411  1 P 1.52
115 O 0.7004 0.2688 0.9800  1 H 1.47, 1 P 1.53
116 O 0.5830 0.0715 0.3258  1 P 1.53
117 O 0.2996 0.7312 0.0200  1 H 1.47, 1 P 1.53
118 O 0.1536 0.6935 0.3157  2 P 1.63-1.66
119 O 0.5091 0.6373 0.7232  1 P 1.52
120 O 0.6769 0.6395 0.9693  2 H 0.99
121 O 0.6409 0.3654 0.3946  1 H 1.05
122 O 0.1453 0.2362 0.9490  2 H 0.99
123 O 0.8464 0.3065 0.6843  2 P 1.63-1.66
124 O 0.1104 0.9763 0.4134  1 P 1.55
125 O 0.2004 0.7312 0.5200  1 H 1.47, 1 P 1.53
126 O 0.2862 0.9175 0.3589  1 P 1.52
127 O 0.0091 0.3627 0.7768  1 P 1.52
128 O 0.1409 0.6346 0.1054  1 H 1.05
129 Cr 0.4552 0.1136 0.7820  2 O 2.01-2.02, 4 N 2.09-2.11
130 Cr 0.5448 0.8864 0.2180  2 O 2.01-2.02, 4 N 2.09-2.11
131 Cr 0.0448 0.1136 0.2820  2 O 2.01-2.02, 4 N 2.09-2.11
132 Cr 0.9552 0.8864 0.7180  2 O 2.01-2.02, 4 N 2.09-2.11

***

No. 3
Compound: CrP2H14N3O9
Source: Materials Project
Functional: GGA+U
Structure: relaxed

Properties
SG	No. 14
magnetization	0.10	μB/atom
calculated formation energy	-1373	meV per atom

abc: 10.4984 8.7977 12.1534
angles: 81.92 90.00 90.00
Last column: nearest neighbours and their distance in Å.
Sites, in units of the cell vectors:
1 H 0.9692 0.3317 0.4582  1 O 0.99
2 H 0.9692 0.5392 0.2931  1 O 0.99
3 H 0.7231 0.9071 0.1042  1 N 1.02
4 H 0.2769 0.0929 0.8958  1 N 1.02
5 H 0.0705 0.2437 0.5416  1 O 0.99
6 H 0.6824 0.3814 0.7055  1 N 1.03
7 H 0.6567 0.5375 0.8620  1 O 0.98
8 H 0.7064 0.3894 0.5691  1 N 1.03
9 H 0.6041 0.4365 0.3748  1 O 1.14
10 H 0.7807 0.1512 0.3485  1 N 1.02
11 H 0.8602 0.0688 0.6027  1 N 1.03
12 H 0.4337 0.8714 0.1338  1 N 1.03
13 H 0.2231 0.0929 0.3958  1 N 1.02
14 H 0.7769 0.9071 0.6042  1 N 1.02
15 H 0.6398 0.0688 0.1027  1 N 1.03
16 H 0.8176 0.3814 0.2055  1 N 1.03
17 H 0.3398 0.0230 0.1479  1 N 1.04
18 H 0.6852 0.3083 0.1587  1 N 1.02
19 H 0.8272 0.9576 0.7222  1 N 1.02
20 H 0.0308 0.4608 0.7069  1 O 0.99
21 H 0.6728 0.9576 0.2222  1 N 1.02
22 H 0.1728 0.0424 0.2778  1 N 1.02
23 H 0.1852 0.6917 0.3413  1 N 1.02
24 H 0.3148 0.6917 0.8413  1 N 1.02
25 H 0.5308 0.5392 0.7931  1 O 0.99
26 H 0.1041 0.5635 0.1252  1 O 1.14
27 H 0.1398 0.9312 0.3973  1 N 1.03
28 H 0.5663 0.1286 0.8662  1 N 1.03
29 H 0.1567 0.4625 0.6380  1 O 0.98
30 H 0.3433 0.4625 0.1380  1 O 0.98
31 H 0.7936 0.3894 0.0691  1 N 1.03
32 H 0.3176 0.6186 0.2945  1 N 1.03
33 H 0.2064 0.6106 0.9309  1 N 1.03
34 H 0.5705 0.7563 0.9584  1 O 0.99
35 H 0.1602 0.0230 0.6479  1 N 1.04
36 H 0.8959 0.4365 0.8748  1 O 1.14
37 H 0.3272 0.0424 0.7778  1 N 1.02
38 H 0.9295 0.7563 0.4584  1 O 0.99
39 H 0.6602 0.9770 0.8521  1 N 1.04
40 H 0.8398 0.9770 0.3521  1 N 1.04
41 H 0.3602 0.9312 0.8973  1 N 1.03
42 H 0.5308 0.3317 0.9582  1 O 0.99
43 H 0.0308 0.6683 0.5418  1 O 0.99
44 H 0.3959 0.5635 0.6252  1 O 1.14
45 H 0.4692 0.6683 0.0418  1 O 0.99
46 H 0.8148 0.3083 0.6587  1 N 1.02
47 H 0.2193 0.8488 0.6515  1 N 1.02
48 H 0.4295 0.2437 0.0416  1 O 0.99
49 H 0.1824 0.6186 0.7945  1 N 1.03
50 H 0.8433 0.5375 0.3620  1 O 0.98
51 H 0.0663 0.8714 0.6338  1 N 1.03
52 H 0.9337 0.1286 0.3662  1 N 1.03
53 H 0.7193 0.1512 0.8485  1 N 1.02
54 H 0.4692 0.4608 0.2069  1 O 0.99
55 H 0.2807 0.8488 0.1515  1 N 1.02
56 H 0.2936 0.6106 0.4309  1 N 1.03
57 O 0.5157 0.2358 0.0095  2 H 0.99
58 O 0.7788 0.7778 0.3890  1 P 1.51
59 O 0.5243 0.9150 0.6775  1 P 1.51
60 O 0.9843 0.2358 0.5095  2 H 0.99
61 O 0.4843 0.7642 0.9905  2 H 0.99
62 O 0.8839 0.7526 0.0421  2 P 1.61-1.66
63 O 0.1566 0.4706 0.0650  1 H 1.29
64 O 0.3434 0.4706 0.5650  1 H 1.29
65 O 0.9757 0.9150 0.1775  1 P 1.51
66 O 0.5908 0.4702 0.8383  2 H 0.98-0.99
67 O 0.4092 0.5298 0.1617  2 H 0.98-0.99
68 O 0.0643 0.6537 0.1745  1 H 1.14
69 O 0.6161 0.7526 0.5421  2 P 1.61-1.66
70 O 0.3839 0.2474 0.4579  2 P 1.61-1.66
71 O 0.4757 0.0850 0.3225  1 P 1.51
72 O 0.6107 0.1394 0.4872  1 P 1.53
73 O 0.0243 0.0850 0.8225  1 P 1.51
74 O 0.3893 0.8606 0.5128  1 P 1.53
75 O 0.2212 0.2222 0.6110  1 P 1.51
76 O 0.9092 0.4702 0.3383  2 H 0.98-0.99
77 O 0.9572 0.7670 0.8385  1 P 1.53
78 O 0.1161 0.2474 0.9579  2 P 1.61-1.66
79 O 0.0157 0.7642 0.4905  2 H 0.99
80 O 0.6566 0.5294 0.4350  1 H 1.29
81 O 0.9357 0.3463 0.8255  1 H 1.14
82 O 0.0428 0.2330 0.1615  1 P 1.53
83 O 0.0908 0.5298 0.6617  2 H 0.98-0.99
84 O 0.4572 0.2330 0.6615  1 P 1.53
85 O 0.5428 0.7670 0.3385  1 P 1.53
86 O 0.7212 0.7778 0.8890  1 P 1.51
87 O 0.8434 0.5294 0.9350  1 H 1.29
88 O 0.8893 0.1394 0.9872  1 P 1.53
89 O 0.5643 0.3463 0.3255  1 H 1.14
90 O 0.4357 0.6537 0.6745  1 H 1.14
91 O 0.1107 0.8606 0.0128  1 P 1.53
92 O 0.2788 0.2222 0.1110  1 P 1.51
93 N 0.7078 0.9994 0.1452  3 H 1.02-1.03
94 N 0.6428 0.0918 0.8244  3 H 1.02-1.04
95 N 0.2922 0.0006 0.8548  3 H 1.02-1.03
96 N 0.3572 0.9082 0.1756  3 H 1.02-1.04
97 N 0.2190 0.6772 0.8549  3 H 1.02-1.03
98 N 0.2078 0.0006 0.3548  3 H 1.02-1.03
99 N 0.1428 0.9082 0.6756  3 H 1.02-1.04
100 N 0.7922 0.9994 0.6452  3 H 1.02-1.03
101 N 0.7190 0.3228 0.6451  3 H 1.02-1.03
102 N 0.7810 0.3228 0.1451  3 H 1.02-1.03
103 N 0.2810 0.6772 0.3549  3 H 1.02-1.03
104 N 0.8572 0.0918 0.3244  3 H 1.02-1.04
105 Cr 0.6190 0.1170 0.6532  3 O 1.99-2.02, 3 N 2.08-2.10
106 Cr 0.8810 0.1170 0.1532  3 O 1.99-2.02, 3 N 2.08-2.10
107 Cr 0.1190 0.8830 0.8468  3 O 1.99-2.02, 3 N 2.08-2.10
108 Cr 0.3810 0.8830 0.3468  3 O 1.99-2.02, 3 N 2.08-2.10
109 P 0.3498 0.2939 0.5820  4 O 1.51-1.66
110 P 0.5125 0.1993 0.3991  4 O 1.51-1.61
111 P 0.0125 0.8007 0.1009  4 O 1.51-1.61
112 P 0.1502 0.2939 0.0820  4 O 1.51-1.66
113 P 0.4875 0.8007 0.6009  4 O 1.51-1.61
114 P 0.9875 0.1993 0.8991  4 O 1.51-1.61
115 P 0.8498 0.7061 0.9180  4 O 1.51-1.66
116 P 0.6502 0.7061 0.4180  4 O 1.51-1.66

***

Which formula does entry 2 have?
CrP2H17N4O9

***

Look up the magnetization of the first one.
0.12 μB/atom

***

What is the formula in the second record?
CrP2H17N4O9